1.
Entry from Materials Project: a relaxed TlSnF3 crystal (GGA-PBE).

E_form = -11.78 eV per formula unit

Cell: 10.227 10.227 8.661 Å, 108.03 108.03 80.38°
Element x y z (fractional)
Tl  0.018  0.982  0.500
Tl  0.111  0.647  0.795
Tl  0.156  0.617  0.289
Tl  0.233  0.280  0.588
Tl  0.280  0.233  0.088
Tl  0.617  0.156  0.789
Tl  0.647  0.111  0.295
Tl  0.982  0.018  0.000
Sn  0.388  0.869  0.791
Sn  0.391  0.911  0.318
Sn  0.491  0.511  0.085
Sn  0.511  0.491  0.585
Sn  0.744  0.753  0.497
Sn  0.753  0.744  0.997
Sn  0.869  0.388  0.291
Sn  0.911  0.391  0.818
F  0.040  0.211  0.788
F  0.077  0.364  0.300
F  0.176  0.883  0.768
F  0.211  0.040  0.288
F  0.291  0.745  0.143
F  0.295  0.441  0.960
F  0.304  0.562  0.589
F  0.304  0.849  0.495
F  0.364  0.077  0.800
F  0.402  0.953  0.072
F  0.423  0.507  0.309
F  0.441  0.295  0.460
F  0.507  0.423  0.809
F  0.562  0.304  0.089
F  0.692  0.949  0.992
F  0.740  0.827  0.267
F  0.745  0.291  0.643
F  0.802  0.954  0.613
F  0.827  0.740  0.767
F  0.849  0.304  0.995
F  0.883  0.176  0.268
F  0.949  0.692  0.492
F  0.953  0.402  0.572
F  0.954  0.802  0.113

=====

2.
Entry from Materials Project: a relaxed TmCo3 crystal (GGA-PBE).

E_form = -0.64 eV per formula unit
M_tot = 2.91 μB per cell

Cell: 8.555 8.555 8.555 Å, 33.42 33.42 33.42°
Element x y z (fractional)
Tm  0.000  0.000  0.000
Tm  0.140  0.140  0.140
Tm  0.860  0.860  0.860
Co  0.080  0.583  0.583
Co  0.335  0.335  0.335
Co  0.417  0.417  0.920
Co  0.417  0.920  0.417
Co  0.500  0.500  0.500
Co  0.583  0.080  0.583
Co  0.583  0.583  0.080
Co  0.665  0.665  0.665
Co  0.920  0.417  0.417

=====

3.
Entry from Materials Project: a relaxed KLaYBiO6 crystal (GGA-PBE).

E_form = -26.81 eV per formula unit
M_tot = 0.00 μB per cell
E above lowest polymorph = 0 meV per atom

Cell: 8.468 8.592 8.592 Å, 90.00 90.00 90.00°
Element x y z (fractional)
K  0.250  0.250  0.250
K  0.250  0.750  0.750
K  0.750  0.250  0.250
K  0.750  0.750  0.750
La  0.250  0.250  0.750
La  0.250  0.750  0.250
La  0.750  0.250  0.750
La  0.750  0.750  0.250
Y  0.000  0.000  0.000
Y  0.000  0.500  0.500
Y  0.500  0.000  0.500
Y  0.500  0.500  0.000
Bi  0.000  0.000  0.500
Bi  0.000  0.500  0.000
Bi  0.500  0.000  0.000
Bi  0.500  0.500  0.500
O  0.032  0.244  0.559
O  0.032  0.256  0.941
O  0.042  0.010  0.257
O  0.042  0.490  0.243
O  0.244  0.539  0.975
O  0.244  0.961  0.525
O  0.256  0.539  0.525
O  0.256  0.961  0.975
O  0.458  0.010  0.243
O  0.458  0.490  0.257
O  0.468  0.244  0.941
O  0.468  0.256  0.559
O  0.532  0.744  0.441
O  0.532  0.756  0.059
O  0.542  0.509  0.743
O  0.542  0.990  0.757
O  0.744  0.039  0.025
O  0.744  0.461  0.475
O  0.756  0.039  0.475
O  0.756  0.461  0.025
O  0.958  0.509  0.757
O  0.958  0.990  0.743
O  0.968  0.744  0.059
O  0.968  0.756  0.441

=====

4.
Entry from Materials Project: a relaxed TaCoB crystal (GGA-PBE).

E_form = -1.85 eV per formula unit
M_tot = 0.00 μB per cell

Cell: 3.283 16.977 5.891 Å, 90.00 90.00 90.00°
Element x y z (fractional)
Ta  0.250  0.071  0.028
Ta  0.250  0.125  0.522
Ta  0.250  0.250  0.144
Ta  0.250  0.375  0.522
Ta  0.250  0.429  0.028
Ta  0.750  0.571  0.972
Ta  0.750  0.625  0.478
Ta  0.750  0.750  0.856
Ta  0.750  0.875  0.478
Ta  0.750  0.929  0.972
Co  0.250  0.524  0.645
Co  0.250  0.679  0.150
Co  0.250  0.750  0.506
Co  0.250  0.821  0.150
Co  0.250  0.976  0.645
Co  0.750  0.024  0.355
Co  0.750  0.179  0.850
Co  0.750  0.250  0.494
Co  0.750  0.321  0.850
Co  0.750  0.476  0.355
B  0.250  0.250  0.731
B  0.250  0.549  0.268
B  0.250  0.650  0.771
B  0.250  0.850  0.771
B  0.250  0.951  0.268
B  0.750  0.049  0.732
B  0.750  0.150  0.229
B  0.750  0.350  0.229
B  0.750  0.451  0.732
B  0.750  0.750  0.269

=====

5.
Entry from Materials Project: a relaxed K3S3O5 crystal (GGA-PBE).

E_form = -18.38 eV per formula unit
M_tot = 8.38 μB per cell

Cell: 9.496 6.101 31.650 Å, 90.00 95.84 90.00°
Element x y z (fractional)
K  0.004  0.109  0.327
K  0.004  0.391  0.827
K  0.083  0.635  0.408
K  0.083  0.865  0.908
K  0.189  0.678  0.037
K  0.189  0.822  0.537
K  0.270  0.072  0.226
K  0.270  0.428  0.726
K  0.457  0.244  0.343
K  0.457  0.256  0.843
K  0.487  0.189  0.050
K  0.487  0.311  0.550
K  0.513  0.689  0.450
K  0.513  0.811  0.950
K  0.543  0.744  0.157
K  0.543  0.756  0.657
K  0.730  0.572  0.274
K  0.730  0.928  0.774
K  0.811  0.178  0.463
K  0.811  0.322  0.963
K  0.917  0.135  0.092
K  0.917  0.365  0.592
K  0.996  0.609  0.173
K  0.996  0.891  0.673
S  0.160  0.182  0.990
S  0.160  0.318  0.490
S  0.161  0.589  0.292
S  0.161  0.911  0.792
S  0.258  0.138  0.625
S  0.258  0.362  0.125
S  0.263  0.029  0.119
S  0.263  0.471  0.619
S  0.280  0.171  0.448
S  0.280  0.329  0.948
S  0.340  0.746  0.320
S  0.340  0.754  0.820
S  0.660  0.246  0.180
S  0.660  0.254  0.680
S  0.720  0.671  0.052
S  0.720  0.829  0.552
S  0.737  0.529  0.381
S  0.737  0.971  0.881
S  0.742  0.638  0.875
S  0.742  0.862  0.375
S  0.839  0.089  0.208
S  0.839  0.411  0.708
S  0.840  0.682  0.510
S  0.840  0.818  0.010
O  0.050  0.614  0.322
O  0.050  0.886  0.822
O  0.118  0.059  0.605
O  0.118  0.441  0.105
O  0.119  0.696  0.251
O  0.119  0.804  0.751
O  0.201  0.144  0.788
O  0.201  0.356  0.288
O  0.225  0.234  0.404
O  0.225  0.266  0.904
O  0.270  0.571  0.954
O  0.270  0.929  0.454
O  0.275  0.079  0.671
O  0.275  0.421  0.171
O  0.373  0.040  0.602
O  0.373  0.460  0.102
O  0.429  0.247  0.458
O  0.429  0.253  0.958
O  0.448  0.721  0.253
O  0.448  0.779  0.753
O  0.552  0.221  0.247
O  0.552  0.279  0.747
O  0.571  0.747  0.042
O  0.571  0.753  0.542
O  0.627  0.540  0.898
O  0.627  0.960  0.398
O  0.725  0.579  0.829
O  0.725  0.921  0.329
O  0.730  0.071  0.546
O  0.730  0.429  0.046
O  0.775  0.734  0.096
O  0.775  0.766  0.596
O  0.799  0.644  0.712
O  0.799  0.856  0.212
O  0.881  0.196  0.249
O  0.881  0.304  0.749
O  0.882  0.559  0.895
O  0.882  0.941  0.395
O  0.950  0.114  0.178
O  0.950  0.386  0.678

=====

6.
Entry from Materials Project: a relaxed Ti2VNi9 crystal (GGA-PBE).

E_form = -4.55 eV per formula unit
M_tot = 2.98 μB per cell

Cell: 5.046 5.046 24.869 Å, 90.00 90.00 120.00°
Element x y z (fractional)
Ti  0.000  0.000  0.083
Ti  0.000  0.000  0.250
Ti  0.000  0.000  0.416
Ti  0.000  0.000  0.584
Ti  0.000  0.000  0.750
Ti  0.000  0.000  0.917
Ti  0.333  0.667  0.333
Ti  0.333  0.667  0.667
V  0.333  0.667  0.000
V  0.667  0.333  0.167
V  0.667  0.333  0.500
V  0.667  0.333  0.833
Ni  0.170  0.341  0.500
Ni  0.170  0.830  0.500
Ni  0.171  0.341  0.167
Ni  0.171  0.341  0.833
Ni  0.171  0.829  0.167
Ni  0.171  0.829  0.833
Ni  0.341  0.170  0.000
Ni  0.341  0.171  0.333
Ni  0.341  0.171  0.667
Ni  0.500  0.001  0.083
Ni  0.500  0.001  0.917
Ni  0.500  0.500  0.083
Ni  0.500  0.500  0.917
Ni  0.501  0.002  0.249
Ni  0.501  0.002  0.417
Ni  0.501  0.002  0.583
Ni  0.501  0.002  0.751
Ni  0.501  0.499  0.249
Ni  0.501  0.499  0.417
Ni  0.501  0.499  0.583
Ni  0.501  0.499  0.751
Ni  0.659  0.829  0.167
Ni  0.659  0.829  0.833
Ni  0.659  0.830  0.500
Ni  0.829  0.171  0.333
Ni  0.829  0.171  0.667
Ni  0.829  0.659  0.333
Ni  0.829  0.659  0.667
Ni  0.830  0.170  0.000
Ni  0.830  0.659  0.000
Ni  0.998  0.499  0.249
Ni  0.998  0.499  0.417
Ni  0.998  0.499  0.583
Ni  0.998  0.499  0.751
Ni  0.999  0.500  0.083
Ni  0.999  0.500  0.917

=====

V values (in Å³/atom) by entry order: 20.4 14.1 15.6 10.9 20.7 11.4.